Entry 1:
# GdPd2Pt

A relaxed structure of GdPd2Pt (PBE-GGA, Materials Project).

Calculated values
space group: P4/mmm, No. 123
V: 17.88 Å³/atom
size of the total moment: 0.96 Bohr magnetons per cell
calculated formation energy: 0.415 eV per atom

Cell lengths 4.1596, 4.1341, 4.1596 Å; angles 90.00, 90.00, 90.00 degrees
Last column: nearest neighbours and their distance in Å.
Element x y z (fractional)
Gd  0.0000  0.0000  0.0000  8 Pd 2.93, 4 Pt 2.94
Pd  0.0000  0.5000  0.5000  4 Gd 2.93, 4 Pt 2.93, 4 Pd 2.94
Pd  0.5000  0.5000  0.0000  4 Gd 2.93, 4 Pt 2.93, 4 Pd 2.94
Pt  0.5000  0.0000  0.5000  8 Pd 2.93, 4 Gd 2.94

Entry 2:
# Li2SnS3

A relaxed structure of Li2SnS3 (PBE-GGA, Materials Project).

Calculated values
space group: C2/c, No. 15
total energy after the MP2020 corrections: -4.51 eV/atom
V: 18.43 Å³/atom
calculated formation energy: -1.133 eV per atom

Cell lengths 6.4468, 6.4468, 12.4781 Å; angles 85.07, 85.07, 120.01 degrees
Last column: nearest neighbours and their distance in Å.
Element x y z (fractional)
Li  0.8389  0.6700  0.4996  6 S 2.58-2.73
Li  0.3300  0.1611  0.0004  6 S 2.58-2.73
Li  0.1611  0.3300  0.5004  6 S 2.58-2.73
Li  0.6700  0.8389  0.9996  6 S 2.58-2.73
Li  0.4169  0.5831  0.7500  6 S 2.68-2.70
Li  0.5831  0.4169  0.2500  6 S 2.68-2.70
Li  0.0000  0.5000  0.0000  6 S 2.58-2.72
Li  0.5000  0.0000  0.5000  6 S 2.58-2.72
Sn  0.0833  0.9167  0.7500  6 S 2.57-2.58
Sn  0.9167  0.0833  0.2500  6 S 2.57-2.58
Sn  0.7499  0.2501  0.7500  6 S 2.57-2.58
Sn  0.2501  0.7499  0.2500  6 S 2.57-2.58
S  0.9702  0.8042  0.1298  2 Sn 2.57-2.58, 4 Li 2.58-2.72
S  0.1958  0.0298  0.3702  2 Sn 2.57-2.58, 4 Li 2.58-2.72
S  0.0298  0.1958  0.8702  2 Sn 2.57-2.58, 4 Li 2.58-2.72
S  0.8042  0.9702  0.6298  2 Sn 2.57-2.58, 4 Li 2.58-2.72
S  0.1081  0.6229  0.6298  2 Sn 2.57, 4 Li 2.58-2.72
S  0.3771  0.8919  0.8702  2 Sn 2.57, 4 Li 2.58-2.72
S  0.8919  0.3771  0.3702  2 Sn 2.57, 4 Li 2.58-2.72
S  0.6229  0.1081  0.1298  2 Sn 2.57, 4 Li 2.58-2.72
S  0.7247  0.5423  0.8722  2 Sn 2.58, 4 Li 2.58-2.73
S  0.4577  0.2753  0.6278  2 Sn 2.58, 4 Li 2.58-2.73
S  0.2753  0.4577  0.1278  2 Sn 2.58, 4 Li 2.58-2.73
S  0.5423  0.7247  0.3722  2 Sn 2.58, 4 Li 2.58-2.73

Entry 3:
# Mn2Fe4SiGe

A relaxed structure of Mn2Fe4SiGe (PBE-GGA, Materials Project).

Calculated values
space group: R-3m, No. 166
V: 11.28 Å³/atom
size of the total moment: 6.00 Bohr magnetons per cell
calculated formation energy: -0.225 eV per atom

Cell lengths 6.9292, 6.9292, 6.9292 Å; angles 33.50, 33.50, 33.50 degrees
Last column: nearest neighbours and their distance in Å.
Element x y z (fractional)
Mn  0.2500  0.2500  0.2500  8 Fe 2.40-2.51
Mn  0.7500  0.7500  0.7500  8 Fe 2.40-2.51
Fe  0.8726  0.8726  0.8726  4 Mn 2.40-2.46, 3 Si 2.43, 1 Ge 2.50
Fe  0.3782  0.3782  0.3782  1 Si 2.39, 4 Mn 2.43-2.51, 3 Ge 2.47
Fe  0.1274  0.1274  0.1274  4 Mn 2.40-2.46, 3 Si 2.43, 1 Ge 2.50
Fe  0.6218  0.6218  0.6218  1 Si 2.39, 4 Mn 2.43-2.51, 3 Ge 2.47
Si  0.5000  0.5000  0.5000  8 Fe 2.39-2.43
Ge  0.0000  0.0000  0.0000  8 Fe 2.47-2.50

Entry 4:
# Y2Co7B3

A relaxed structure of Y2Co7B3 (PBE-GGA, Materials Project).

Calculated values
space group: P6/mmm, No. 191
V: 11.70 Å³/atom
size of the total moment: 7.52 Bohr magnetons per cell
calculated formation energy: -0.392 eV per atom

Cell lengths 5.0494, 5.0506, 12.7171 Å; angles 90.00, 90.00, 119.99 degrees
Last column: nearest neighbours and their distance in Å.
Element x y z (fractional)
Y  0.0000  0.0000  0.0000  18 Co 2.92-3.20
Y  0.0000  0.0000  0.4998  6 B 2.92, 12 Co 2.92, 2 Y 3.04
Y  0.0000  0.0000  0.2610  12 Co 2.87-2.97, 6 B 2.92, 1 Y 3.04
Y  0.0000  0.0000  0.7392  12 Co 2.87-2.97, 6 B 2.92, 1 Y 3.04
Co  0.3333  0.6667  0.0000  6 Co 2.44-2.45
Co  0.6666  0.3333  0.0000  6 Co 2.44-2.45
Co  0.5000  0.0000  0.1542  2 B 2.06
Co  0.5000  0.5000  0.1545  2 B 2.05
Co  0.0000  0.5000  0.1545  2 B 2.05
Co  0.5000  0.0000  0.8457  2 B 2.05
Co  0.5000  0.5000  0.8457  2 B 2.05
Co  0.0000  0.5000  0.8457  2 B 2.05
Co  0.5000  0.0000  0.3844  4 B 2.07-2.08
Co  0.5000  0.5000  0.3844  4 B 2.07-2.08
Co  0.0000  0.5000  0.3844  4 B 2.07-2.08
Co  0.5000  0.0000  0.6155  4 B 2.07-2.08
Co  0.5000  0.5000  0.6155  4 B 2.07-2.08
Co  0.0000  0.5000  0.6155  4 B 2.07-2.08
B  0.3334  0.6667  0.4999  6 Co 2.07
B  0.6666  0.3333  0.4999  6 Co 2.07
B  0.3331  0.6662  0.2682  6 Co 2.05-2.08
B  0.6669  0.3338  0.2682  6 Co 2.05-2.08
B  0.6666  0.3333  0.7319  6 Co 2.05-2.08
B  0.3334  0.6667  0.7319  6 Co 2.05-2.08

Entry 5:
# NiSn2Au

A relaxed structure of NiSn2Au (PBE-GGA, Materials Project).

Calculated values
space group: P-3m1, No. 164
V: 20.29 Å³/atom
calculated formation energy: -0.228 eV per atom
E above lowest polymorph: 0.0 meV per atom

Cell lengths 4.1750, 4.1750, 5.3774 Å; angles 90.00, 90.00, 120.00 degrees
Last column: nearest neighbours and their distance in Å.
Element x y z (fractional)
Ni  0.0000  0.0000  0.0000  6 Sn 2.66, 2 Au 2.69
Sn  0.3333  0.6667  0.2082  3 Ni 2.66, 3 Au 2.88
Sn  0.6667  0.3333  0.7918  3 Ni 2.66, 3 Au 2.88
Au  0.0000  0.0000  0.5000  2 Ni 2.69, 6 Sn 2.88

Entry 6:
# Ho6Al43V4

A relaxed structure of Ho6Al43V4 (PBE-GGA, Materials Project).

Calculated values
space group: P6_3/mcm, No. 193
V: 17.36 Å³/atom
size of the total moment: 1.02 Bohr magnetons per cell
calculated formation energy: -0.311 eV per atom

Cell lengths 10.9991, 10.9991, 17.5645 Å; angles 90.00, 90.00, 120.00 degrees
Last column: nearest neighbours and their distance in Å.
Element x y z (fractional)
Ho  0.5303  0.0000  0.5959  14 Al 3.04-3.39
Ho  0.4697  0.0000  0.4041  14 Al 3.04-3.39
Ho  0.0000  0.5303  0.5959  14 Al 3.04-3.39
Ho  0.4697  0.0000  0.0959  14 Al 3.04-3.39
Ho  0.0000  0.5303  0.9041  14 Al 3.04-3.39
Ho  0.0000  0.4697  0.4041  14 Al 3.04-3.39
Ho  0.5303  0.0000  0.9041  14 Al 3.04-3.39
Ho  0.0000  0.4697  0.0959  14 Al 3.04-3.39
Ho  0.4697  0.4697  0.5959  14 Al 3.04-3.39
Ho  0.5303  0.5303  0.4041  14 Al 3.04-3.39
Ho  0.5303  0.5303  0.0959  14 Al 3.04-3.39
Ho  0.4697  0.4697  0.9041  14 Al 3.04-3.39
Al  0.1460  0.5976  0.7500  1 V 2.65, 7 Al 2.76-2.81
Al  0.8540  0.4024  0.2500  1 V 2.65, 7 Al 2.76-2.81
Al  0.4024  0.5484  0.7500  1 V 2.65, 7 Al 2.76-2.81
Al  0.5976  0.1460  0.7500  1 V 2.65, 7 Al 2.76-2.81
Al  0.5976  0.4516  0.2500  1 V 2.65, 7 Al 2.76-2.81
Al  0.4024  0.8540  0.2500  1 V 2.65, 7 Al 2.76-2.81
Al  0.4516  0.8540  0.7500  1 V 2.65, 7 Al 2.76-2.81
Al  0.5484  0.4024  0.7500  1 V 2.65, 7 Al 2.76-2.81
Al  0.5484  0.1460  0.2500  1 V 2.65, 7 Al 2.76-2.81
Al  0.4516  0.5976  0.2500  1 V 2.65, 7 Al 2.76-2.81
Al  0.8540  0.4516  0.7500  1 V 2.65, 7 Al 2.76-2.81
Al  0.1460  0.5484  0.2500  1 V 2.65, 7 Al 2.76-2.81
Al  0.1559  0.0000  0.1156  2 V 2.66-2.67, 9 Al 2.73-2.97
Al  0.8441  0.0000  0.8844  2 V 2.66-2.67, 9 Al 2.73-2.97
Al  0.0000  0.1559  0.1156  2 V 2.66-2.67, 9 Al 2.73-2.97
Al  0.8441  0.0000  0.6156  2 V 2.66-2.67, 9 Al 2.73-2.97
Al  0.0000  0.1559  0.3844  2 V 2.66-2.67, 9 Al 2.73-2.97
Al  0.0000  0.8441  0.8844  2 V 2.66-2.67, 9 Al 2.73-2.97
Al  0.1559  0.0000  0.3844  2 V 2.66-2.67, 9 Al 2.73-2.97
Al  0.0000  0.8441  0.6156  2 V 2.66-2.67, 9 Al 2.73-2.97
Al  0.8441  0.8441  0.1156  2 V 2.66-2.67, 9 Al 2.73-2.97
Al  0.1559  0.1559  0.8844  2 V 2.66-2.67, 9 Al 2.73-2.97
Al  0.1559  0.1559  0.6156  2 V 2.66-2.67, 9 Al 2.73-2.97
Al  0.8441  0.8441  0.3844  2 V 2.66-2.67, 9 Al 2.73-2.97
Al  0.2471  0.4942  0.5000  6 Al 2.74-2.85
Al  0.7529  0.5058  0.5000  6 Al 2.74-2.85
Al  0.5058  0.7529  0.5000  6 Al 2.74-2.85
Al  0.7529  0.5058  0.0000  6 Al 2.74-2.85
Al  0.4942  0.2471  0.0000  6 Al 2.74-2.85
Al  0.4942  0.2471  0.5000  6 Al 2.74-2.85
Al  0.2471  0.4942  0.0000  6 Al 2.74-2.85
Al  0.5058  0.7529  0.0000  6 Al 2.74-2.85
Al  0.2471  0.7529  0.5000  6 Al 2.74-2.85
Al  0.7529  0.2471  0.5000  6 Al 2.74-2.85
Al  0.7529  0.2471  0.0000  6 Al 2.74-2.85
Al  0.2471  0.7529  0.0000  6 Al 2.74-2.85
Al  0.1455  0.0000  0.7500  2 V 2.57, 6 Al 2.77-2.80
Al  0.8545  0.0000  0.2500  2 V 2.57, 6 Al 2.77-2.80
Al  0.0000  0.1455  0.7500  2 V 2.57, 6 Al 2.77-2.80
Al  0.0000  0.8545  0.2500  2 V 2.57, 6 Al 2.77-2.80
Al  0.8545  0.8545  0.7500  2 V 2.57, 6 Al 2.77-2.80
Al  0.1455  0.1455  0.2500  2 V 2.57, 6 Al 2.77-2.80
Al  0.3333  0.6667  0.6273  9 Al 2.74-2.81
Al  0.6667  0.3333  0.3727  9 Al 2.74-2.81
Al  0.6667  0.3333  0.1273  9 Al 2.74-2.81
Al  0.6667  0.3333  0.8727  9 Al 2.74-2.81
Al  0.3333  0.6667  0.8727  9 Al 2.74-2.81
Al  0.3333  0.6667  0.1273  9 Al 2.74-2.81
Al  0.3333  0.6667  0.3727  9 Al 2.74-2.81
Al  0.6667  0.3333  0.6273  9 Al 2.74-2.81
Al  0.2530  0.0000  0.5297  9 Al 2.74-2.97, 1 V 2.83
Al  0.7470  0.0000  0.4703  9 Al 2.74-2.97, 1 V 2.83
Al  0.0000  0.2530  0.5297  9 Al 2.74-2.97, 1 V 2.83
Al  0.7470  0.0000  0.0297  9 Al 2.74-2.97, 1 V 2.83
Al  0.0000  0.2530  0.9703  9 Al 2.74-2.97, 1 V 2.83
Al  0.0000  0.7470  0.4703  9 Al 2.74-2.97, 1 V 2.83
Al  0.2530  0.0000  0.9703  9 Al 2.74-2.97, 1 V 2.83
Al  0.0000  0.7470  0.0297  9 Al 2.74-2.97, 1 V 2.83
Al  0.7470  0.7470  0.5297  9 Al 2.74-2.97, 1 V 2.83
Al  0.2530  0.2530  0.4703  9 Al 2.74-2.97, 1 V 2.83
Al  0.2530  0.2530  0.0297  9 Al 2.74-2.97, 1 V 2.83
Al  0.7470  0.7470  0.9703  9 Al 2.74-2.97, 1 V 2.83
Al  0.1571  0.3917  0.6656  1 V 2.68, 8 Al 2.73-2.99
Al  0.8429  0.6083  0.3344  1 V 2.68, 8 Al 2.73-2.99
Al  0.6083  0.7655  0.6656  1 V 2.68, 8 Al 2.73-2.99
Al  0.8429  0.6083  0.1656  1 V 2.68, 8 Al 2.73-2.99
Al  0.3917  0.1571  0.8344  1 V 2.68, 8 Al 2.73-2.99
Al  0.3917  0.2345  0.3344  1 V 2.68, 8 Al 2.73-2.99
Al  0.1571  0.3917  0.8344  1 V 2.68, 8 Al 2.73-2.99
Al  0.6083  0.8429  0.1656  1 V 2.68, 8 Al 2.73-2.99
Al  0.2345  0.8429  0.6656  1 V 2.68, 8 Al 2.73-2.99
Al  0.3917  0.2345  0.1656  1 V 2.68, 8 Al 2.73-2.99
Al  0.7655  0.6083  0.8344  1 V 2.68, 8 Al 2.73-2.99
Al  0.7655  0.1571  0.3344  1 V 2.68, 8 Al 2.73-2.99
Al  0.6083  0.7655  0.8344  1 V 2.68, 8 Al 2.73-2.99
Al  0.2345  0.3917  0.1656  1 V 2.68, 8 Al 2.73-2.99
Al  0.6083  0.8429  0.3344  1 V 2.68, 8 Al 2.73-2.99
Al  0.3917  0.1571  0.6656  1 V 2.68, 8 Al 2.73-2.99
Al  0.7655  0.1571  0.1656  1 V 2.68, 8 Al 2.73-2.99
Al  0.2345  0.3917  0.3344  1 V 2.68, 8 Al 2.73-2.99
Al  0.2345  0.8429  0.8344  1 V 2.68, 8 Al 2.73-2.99
Al  0.7655  0.6083  0.6656  1 V 2.68, 8 Al 2.73-2.99
Al  0.8429  0.2345  0.8344  1 V 2.68, 8 Al 2.73-2.99
Al  0.1571  0.7655  0.1656  1 V 2.68, 8 Al 2.73-2.99
Al  0.1571  0.7655  0.3344  1 V 2.68, 8 Al 2.73-2.99
Al  0.8429  0.2345  0.6656  1 V 2.68, 8 Al 2.73-2.99
V  0.0000  0.0000  0.5000  12 Al 2.66-2.83
V  0.0000  0.0000  0.0000  12 Al 2.66-2.83
V  0.7302  0.0000  0.7500  10 Al 2.57-2.68
V  0.2698  0.0000  0.2500  10 Al 2.57-2.68
V  0.0000  0.7302  0.7500  10 Al 2.57-2.68
V  0.0000  0.2698  0.2500  10 Al 2.57-2.68
V  0.2698  0.2698  0.7500  10 Al 2.57-2.68
V  0.7302  0.7302  0.2500  10 Al 2.57-2.68

Entry 7:
# TmAg2

A relaxed structure of TmAg2 (PBE-GGA, Materials Project).

Calculated values
space group: I4/mmm, No. 139
V: 21.07 Å³/atom
calculated formation energy: -0.338 eV per atom

Cell lengths 5.2863, 5.2863, 5.2863 Å; angles 138.89, 138.89, 59.54 degrees
Last column: nearest neighbours and their distance in Å.
Element x y z (fractional)
Tm  0.0000  0.0000  0.0000  10 Ag 3.04-3.05
Ag  0.3316  0.3316  0.0000  5 Ag 3.02-3.09, 5 Tm 3.04-3.05
Ag  0.6684  0.6684  0.0000  5 Ag 3.02-3.09, 5 Tm 3.04-3.05

Entry 8:
# Na3Si2PO8

A relaxed structure of Na3Si2PO8 (PBE-GGA, Materials Project).

Calculated values
space group: P2_1, No. 4
total energy after the MP2020 corrections: -6.47 eV/atom
V: 17.13 Å³/atom
size of the total moment: 0.00 Bohr magnetons per cell
calculated formation energy: -2.194 eV per atom
E above lowest polymorph: 0.0 meV per atom

Cell lengths 7.1844, 12.3066, 10.8518 Å; angles 89.94, 90.01, 89.99 degrees
Last column: nearest neighbours and their distance in Å.
Element x y z (fractional)
Na  0.0504  0.6524  0.7220  3 O 2.27-2.43
Na  0.9498  0.8475  0.2220  3 O 2.27-2.43
Na  0.7035  0.1208  0.7128  3 O 2.27-2.32
Na  0.3578  0.6835  0.2172  4 O 2.30-2.41
Na  0.7957  0.6210  0.2866  3 O 2.27-2.32
Na  0.8577  0.3164  0.2828  4 O 2.30-2.41
Na  0.4498  0.1525  0.2780  3 O 2.27-2.43
Na  0.1423  0.1834  0.7825  4 O 2.30-2.41
Na  0.2029  0.8792  0.7875  3 O 2.27-2.32
Na  0.2957  0.3790  0.2133  3 O 2.27-2.32
Na  0.6421  0.8167  0.7175  4 O 2.30-2.41
Na  0.5504  0.3477  0.7779  3 O 2.27-2.43
Si  0.5290  0.4095  0.4587  4 O 1.60-1.70
Si  0.1105  0.1321  0.1119  4 O 1.58-1.72
Si  0.9711  0.9095  0.5414  4 O 1.60-1.70
Si  0.8898  0.3680  0.6118  4 O 1.58-1.72
Si  0.3898  0.6321  0.8883  4 O 1.58-1.72
Si  0.4711  0.0906  0.9586  4 O 1.60-1.70
Si  0.0291  0.5905  0.0413  4 O 1.60-1.70
Si  0.6106  0.8679  0.3881  4 O 1.58-1.72
P  0.6366  0.5288  0.9962  3 O 1.62-1.70
P  0.3641  0.9707  0.4967  3 O 1.62-1.70
P  0.1365  0.4711  0.5036  3 O 1.62-1.70
P  0.8640  0.0292  0.0034  3 O 1.62-1.70
O  0.9511  0.8088  0.6331  1 Si 1.60
O  0.4225  0.9674  0.9031  1 O 1.52, 1 Si 1.67
O  0.5766  0.5327  0.4025  1 O 1.52, 1 Si 1.67
O  0.0489  0.6913  0.1326  1 Si 1.60
O  0.9225  0.0327  0.5968  1 O 1.52, 1 Si 1.67
O  0.1698  0.9143  0.4562  1 P 1.62, 1 Si 1.70
O  0.4042  0.5234  0.3215  1 O 1.52
O  0.5072  0.6407  0.0248  1 P 1.69, 1 Si 1.71
O  0.6145  0.7766  0.2862  1 Si 1.58
O  0.1756  0.5966  0.9207  2 Si 1.64-1.68
O  0.3854  0.7239  0.7869  1 Si 1.58
O  0.4512  0.1913  0.8670  1 Si 1.60
O  0.8307  0.5857  0.9559  1 P 1.62, 1 Si 1.70
O  0.0948  0.0234  0.6780  1 O 1.52
O  0.0765  0.4673  0.0974  1 O 1.52, 1 Si 1.67
O  0.6755  0.4033  0.5792  2 Si 1.64-1.68
O  0.3306  0.4144  0.5440  1 P 1.62, 1 Si 1.70
O  0.5283  0.5217  0.8574  1 P 1.70, 1 Si 1.72
O  0.5949  0.9766  0.8220  1 O 1.52
O  0.8251  0.9028  0.4206  2 Si 1.64-1.68
O  0.9042  0.4766  0.1785  1 O 1.52
O  0.8855  0.2762  0.7132  1 Si 1.58
O  0.0282  0.4784  0.6425  1 P 1.70, 1 Si 1.72
O  0.6697  0.0856  0.0439  1 P 1.62, 1 Si 1.70
O  0.3249  0.0971  0.0794  2 Si 1.64-1.68
O  0.0071  0.3592  0.4752  1 P 1.69, 1 Si 1.71
O  0.1144  0.2234  0.2137  1 Si 1.58
O  0.5488  0.3087  0.3673  1 Si 1.60
O  0.4722  0.9785  0.3579  1 P 1.70, 1 Si 1.72
O  0.4934  0.8586  0.5246  1 P 1.69, 1 Si 1.71
O  0.9722  0.0215  0.1422  1 P 1.70, 1 Si 1.72
O  0.9932  0.1413  0.9754  1 P 1.69, 1 Si 1.71

Repeat the first record exactly.
# GdPd2Pt

A relaxed structure of GdPd2Pt (PBE-GGA, Materials Project).

Calculated values
space group: P4/mmm, No. 123
V: 17.88 Å³/atom
size of the total moment: 0.96 Bohr magnetons per cell
calculated formation energy: 0.415 eV per atom

Cell lengths 4.1596, 4.1341, 4.1596 Å; angles 90.00, 90.00, 90.00 degrees
Last column: nearest neighbours and their distance in Å.
Element x y z (fractional)
Gd  0.0000  0.0000  0.0000  8 Pd 2.93, 4 Pt 2.94
Pd  0.0000  0.5000  0.5000  4 Gd 2.93, 4 Pt 2.93, 4 Pd 2.94
Pd  0.5000  0.5000  0.0000  4 Gd 2.93, 4 Pt 2.93, 4 Pd 2.94
Pt  0.5000  0.0000  0.5000  8 Pd 2.93, 4 Gd 2.94

What is the formula in the eighth record?
Na3Si2PO8